[1]
Density functional theory data (GGA-PBE) for a geometry-optimized CaMg14B structure.

Calculated values
The value obtained for the energy above the lowest structure with this stoichiometry is 0.036 eV/atom. The crystal system is hexagonal. The value obtained for the total magnetization is 0.00 μB per formula unit.

Cell: 6.3534 6.3534 10.3246 Å, 90.00 90.00 120.00°
Fractional positions:
Ca: 0.1667 0.3333 0.1250
Mg: 0.1766 0.8383 0.1250
Mg: 0.1592 0.8296 0.6250
Mg: 0.6617 0.3234 0.1250
Mg: 0.6704 0.3408 0.6250
Mg: 0.6617 0.8383 0.1250
Mg: 0.6704 0.8296 0.6250
Mg: 0.3289 0.1711 0.3927
Mg: 0.3289 0.1711 0.8573
Mg: 0.3289 0.6578 0.3927
Mg: 0.3289 0.6578 0.8573
Mg: 0.8422 0.1711 0.3927
Mg: 0.8422 0.1711 0.8573
Mg: 0.8333 0.6667 0.3671
Mg: 0.8333 0.6667 0.8829
B: 0.1667 0.3333 0.6250

---

[2]
Density functional theory data (GGA-PBE) for a geometry-optimized Na14Ca4Hf4Si7S5O48 structure.

Calculated values
The crystal system is triclinic. The value obtained for the total magnetization is 0.00 μB per formula unit.

Cell: 18.6742 9.3324 22.8472 Å, 89.96 89.94 119.93°
Fractional positions:
Na: 0.8051 0.9821 0.2590
Na: 0.1843 0.3500 0.2571
Na: 0.6939 0.3652 0.2542
Na: 0.9914 0.6452 0.2425
Na: 0.4986 0.6482 0.2499
Na: 0.3068 0.6283 0.7424
Na: 0.9975 0.3469 0.7433
Na: 0.4955 0.3442 0.7365
Na: 0.1919 0.0199 0.7480
Na: 0.6865 0.0194 0.7509
Na: 0.1461 0.3272 0.5871
Na: 0.6611 0.3350 0.5795
Na: 0.3422 0.0001 0.5775
Na: 0.8370 0.9860 0.5776
Na: 0.1591 0.9888 0.0867
Na: 0.6468 0.9639 0.0935
Na: 0.3366 0.6863 0.0889
Na: 0.8406 0.6866 0.0841
Na: 0.4845 0.6791 0.9285
Na: 0.9690 0.6654 0.9254
Na: 0.3553 0.0439 0.9156
Na: 0.8467 0.0283 0.9072
Na: 0.1672 0.2860 0.9148
Na: 0.6741 0.2856 0.9062
Na: 0.4716 0.2771 0.4266
Na: 0.9735 0.2704 0.4283
Na: 0.1709 0.0625 0.4059
Na: 0.6776 0.0400 0.4120
Na: 0.3493 0.6674 0.4074
Na: 0.8509 0.6808 0.4194
Na: 0.9912 0.9966 0.4970
Na: 0.5028 0.0023 0.5003
Na: 0.9979 0.9968 0.0032
Na: 0.4999 0.9987 0.0044
Na: 0.3251 0.3174 0.8190
Na: 0.8192 0.3307 0.8303
Na: 0.3208 0.3099 0.3340
Na: 0.8228 0.3097 0.3291
Na: 0.1678 0.6761 0.1703
Na: 0.6621 0.6642 0.1748
Na: 0.1602 0.6569 0.6713
Na: 0.6676 0.6585 0.6630
Ca: 0.0001 0.9987 0.3512
Ca: 0.4967 0.9929 0.3476
Ca: 0.9958 0.9995 0.8465
Ca: 0.5052 0.0101 0.8474
Ca: 0.3381 0.3331 0.6781
Ca: 0.8372 0.3393 0.1802
Ca: 0.3349 0.3317 0.9952
Ca: 0.8316 0.3361 0.9837
Ca: 0.3319 0.3281 0.4837
Ca: 0.8333 0.3313 0.4908
Ca: 0.6700 0.6772 0.3136
Ca: 0.1672 0.6631 0.8104
Hf: 0.9920 0.0022 0.6523
Hf: 0.5052 0.0213 0.6520
Hf: 0.0048 0.9908 0.1527
Hf: 0.4923 0.9832 0.1528
Hf: 0.8301 0.3326 0.6771
Hf: 0.3298 0.3275 0.1774
Hf: 0.1680 0.6672 0.0270
Hf: 0.6640 0.6700 0.0172
Hf: 0.1635 0.6584 0.5167
Hf: 0.6739 0.6807 0.5239
Hf: 0.1795 0.6806 0.3129
Hf: 0.6797 0.6800 0.8117
Si: 0.1543 0.0004 0.2519
Si: 0.6493 0.0034 0.2501
Si: 0.3482 0.6851 0.2516
Si: 0.8493 0.6977 0.2503
Si: 0.1501 0.2936 0.7519
Si: 0.6553 0.3103 0.7520
Si: 0.3501 0.9988 0.7527
Si: 0.8492 0.0140 0.7525
Si: 0.4887 0.3339 0.5823
Si: 0.9874 0.3401 0.5854
Si: 0.6783 0.0290 0.5829
Si: 0.8391 0.6410 0.5776
Si: 0.4865 0.6367 0.0832
Si: 0.9861 0.6441 0.0822
Si: 0.3398 0.0369 0.0766
Si: 0.1785 0.3265 0.0808
Si: 0.8135 0.6674 0.9199
Si: 0.6644 0.9562 0.9151
Si: 0.3137 0.9605 0.4205
Si: 0.8156 0.9705 0.4161
Si: 0.1667 0.3756 0.4154
S: 0.0031 0.2985 0.2507
S: 0.4945 0.2915 0.2479
S: 0.9952 0.6979 0.7489
S: 0.5014 0.7045 0.7526
S: 0.1763 0.0217 0.5840
S: 0.3322 0.6459 0.5831
S: 0.8322 0.0198 0.0814
S: 0.6761 0.3308 0.0826
S: 0.3126 0.6628 0.9186
S: 0.0240 0.3786 0.9195
S: 0.5233 0.3843 0.9149
S: 0.1679 0.9591 0.9175
S: 0.6654 0.3728 0.4173
S: 0.0250 0.6643 0.4143
S: 0.5220 0.6670 0.4191
O: 0.1235 0.0500 0.3104
O: 0.6136 0.0373 0.3104
O: 0.3999 0.7544 0.3110
O: 0.9019 0.7800 0.3093
O: 0.4833 0.2060 0.3042
O: 0.9953 0.2123 0.3061
O: 0.1167 0.1960 0.8142
O: 0.6248 0.2027 0.8116
O: 0.4920 0.7720 0.8087
O: 0.9861 0.7620 0.8058
O: 0.3960 0.0141 0.8149
O: 0.8990 0.0448 0.8128
O: 0.4063 0.9821 0.6985
O: 0.9001 0.9911 0.6978
O: 0.0899 0.1713 0.6978
O: 0.5896 0.2058 0.6984
O: 0.0013 0.8091 0.7003
O: 0.5124 0.8185 0.7035
O: 0.3976 0.8071 0.1955
O: 0.9046 0.8230 0.1936
O: 0.0138 0.2067 0.2008
O: 0.4995 0.1911 0.1989
O: 0.0905 0.9742 0.1964
O: 0.5904 0.0068 0.1942
O: 0.4550 0.3653 0.6430
O: 0.9379 0.3568 0.6421
O: 0.2296 0.0963 0.6359
O: 0.7455 0.1294 0.6366
O: 0.3179 0.5432 0.6357
O: 0.8218 0.5013 0.6285
O: 0.4339 0.5155 0.1378
O: 0.9536 0.5425 0.1421
O: 0.3195 0.1402 0.1261
O: 0.8175 0.0949 0.1330
O: 0.2467 0.3623 0.1335
O: 0.7297 0.3612 0.1338
O: 0.2083 0.2820 0.0205
O: 0.7120 0.2986 0.0297
O: 0.4357 0.5802 0.0224
O: 0.9277 0.5704 0.0249
O: 0.3530 0.1184 0.0128
O: 0.8404 0.1125 0.0274
O: 0.2131 0.1280 0.5319
O: 0.7065 0.1398 0.5244
O: 0.3404 0.5670 0.5300
O: 0.8528 0.5844 0.5145
O: 0.4254 0.2830 0.5271
O: 0.9350 0.2938 0.5260
O: 0.2652 0.6710 0.9704
O: 0.7587 0.6672 0.9778
O: 0.0794 0.4828 0.9683
O: 0.5727 0.4765 0.9676
O: 0.1681 0.8592 0.9689
O: 0.6608 0.8428 0.9730
O: 0.2596 0.8521 0.4788
O: 0.7589 0.8503 0.4726
O: 0.1638 0.4814 0.4737
O: 0.6634 0.4702 0.4688
O: 0.0748 0.6689 0.4670
O: 0.5754 0.6711 0.4683
O: 0.0689 0.6557 0.3611
O: 0.5541 0.6451 0.3630
O: 0.2568 0.8508 0.3640
O: 0.7643 0.8886 0.3565
O: 0.1672 0.4858 0.3580
O: 0.6662 0.4566 0.3623
O: 0.0577 0.4654 0.8638
O: 0.5671 0.4775 0.8616
O: 0.1710 0.8783 0.8629
O: 0.6648 0.8466 0.8582
O: 0.2665 0.6511 0.8649
O: 0.7565 0.6634 0.8635
O: 0.0223 0.8198 0.4163
O: 0.5191 0.8240 0.4210
O: 0.4035 0.9710 0.4221
O: 0.9042 0.9740 0.4223
O: 0.0853 0.1942 0.4215
O: 0.5886 0.2066 0.4209
O: 0.0207 0.2159 0.9219
O: 0.5159 0.2188 0.9171
O: 0.0905 0.9686 0.9211
O: 0.5810 0.9712 0.9215
O: 0.3955 0.8152 0.9201
O: 0.9036 0.8363 0.9218
O: 0.4973 0.1612 0.5896
O: 0.0023 0.1782 0.5968
O: 0.0931 0.0025 0.5927
O: 0.5866 0.9973 0.6010
O: 0.4051 0.8146 0.5897
O: 0.9143 0.8287 0.5944
O: 0.5005 0.8271 0.0947
O: 0.9983 0.8355 0.0887
O: 0.4148 0.9998 0.0923
O: 0.9052 0.9967 0.0880
O: 0.0874 0.1732 0.0976
O: 0.5924 0.1837 0.0908
O: 0.3425 0.1659 0.7464
O: 0.8382 0.1764 0.7416
O: 0.2459 0.3348 0.7439
O: 0.7457 0.3303 0.7369
O: 0.4269 0.5406 0.7445
O: 0.9238 0.5280 0.7408
O: 0.3374 0.5006 0.2397
O: 0.8413 0.5150 0.2455
O: 0.4231 0.3192 0.2389
O: 0.9287 0.3132 0.2430
O: 0.2448 0.1600 0.2354
O: 0.7447 0.1533 0.2429
O: 0.3220 0.5136 0.9214
O: 0.8192 0.4989 0.9147
O: 0.4408 0.3709 0.9167
O: 0.9397 0.3541 0.9265
O: 0.2420 0.1282 0.9186
O: 0.7505 0.1328 0.9149
O: 0.3188 0.1397 0.4151
O: 0.8267 0.1570 0.4183
O: 0.2538 0.3744 0.4146
O: 0.7406 0.3570 0.4185
O: 0.4367 0.5242 0.4258
O: 0.9428 0.5175 0.4165
O: 0.1779 0.5040 0.0764
O: 0.6689 0.4825 0.0749
O: 0.0827 0.6830 0.0711
O: 0.5820 0.6641 0.0799
O: 0.2538 0.8477 0.0757
O: 0.7560 0.8466 0.0771
O: 0.1693 0.8561 0.5759
O: 0.6771 0.8508 0.5792
O: 0.2560 0.6660 0.5786
O: 0.7527 0.6556 0.5780
O: 0.0836 0.5027 0.5813
O: 0.5839 0.4843 0.5704
O: 0.1514 0.8195 0.2554
O: 0.6419 0.8210 0.2439
O: 0.2539 0.6621 0.2525
O: 0.7575 0.6794 0.2439
O: 0.0787 0.4685 0.2513
O: 0.5719 0.4541 0.2474
O: 0.1457 0.4654 0.7458
O: 0.6516 0.4844 0.7557
O: 0.0729 0.6890 0.7480
O: 0.5767 0.6849 0.7536
O: 0.2580 0.8333 0.7454
O: 0.7547 0.8480 0.7532

---

[3]
Density functional theory data (GGA-PBE) for a geometry-optimized K38Nb7As24 structure.

Calculated values
The crystal system is orthorhombic. The value obtained for the total magnetization is 1.01 μB per formula unit.

Cell: 10.5827 13.2444 36.5270 Å, 90.00 90.00 66.45°
Fractional positions:
K: 0.8379 0.3242 0.0972
K: 0.1619 0.6761 0.9029
K: 0.8381 0.3239 0.4029
K: 0.1621 0.6758 0.5972
K: 0.3110 0.7968 0.0862
K: 0.1059 0.2039 0.9132
K: 0.3099 0.7961 0.4132
K: 0.1078 0.2032 0.5862
K: 0.6901 0.2039 0.9132
K: 0.8922 0.7968 0.0862
K: 0.6890 0.2032 0.5862
K: 0.8941 0.7961 0.4132
K: 0.7999 0.8377 0.3077
K: 0.6371 0.1625 0.6926
K: 0.7996 0.8375 0.1926
K: 0.6375 0.1623 0.8077
K: 0.2004 0.1625 0.6926
K: 0.3625 0.8377 0.3077
K: 0.2001 0.1623 0.8077
K: 0.3629 0.8375 0.1926
K: 0.4028 0.7042 0.9820
K: 0.0885 0.3006 0.0129
K: 0.3891 0.6994 0.5129
K: 0.1070 0.2958 0.4820
K: 0.6109 0.3006 0.0129
K: 0.8930 0.7042 0.9820
K: 0.5972 0.2958 0.4820
K: 0.9115 0.6994 0.5129
K: 0.5419 0.3642 0.2501
K: 0.9061 0.6358 0.7501
K: 0.4581 0.6358 0.7501
K: 0.0939 0.3642 0.2501
K: 0.7556 0.4888 0.9927
K: 0.2395 0.5210 0.0059
K: 0.7605 0.4790 0.5059
K: 0.2444 0.5112 0.4927
K: 0.0672 0.8655 0.2502
K: 0.9328 0.1345 0.7502
K: 0.6293 0.2105 0.1648
K: 0.8339 0.7874 0.8380
K: 0.6213 0.2126 0.3380
K: 0.8398 0.7895 0.6648
K: 0.3787 0.7874 0.8380
K: 0.1602 0.2105 0.1648
K: 0.3707 0.7895 0.6648
K: 0.1661 0.2126 0.3380
K: 0.3079 0.9987 0.9998
K: 0.3066 0.0013 0.4998
K: 0.6934 0.9987 0.9998
K: 0.6921 0.0013 0.4998
K: 0.9847 0.0305 0.1562
K: 0.0153 0.9694 0.8438
K: 0.9847 0.0306 0.3438
K: 0.0153 0.9695 0.6562
K: 0.5162 0.9676 0.0909
K: 0.4927 0.0146 0.9109
K: 0.5073 0.9854 0.4109
K: 0.4838 0.0324 0.5909
K: 0.2289 0.5423 0.1025
K: 0.7579 0.4842 0.8976
K: 0.2421 0.5158 0.3976
K: 0.7711 0.4577 0.6025
K: 0.5319 0.5362 0.1579
K: 0.0683 0.4622 0.8426
K: 0.5306 0.5378 0.3426
K: 0.0681 0.4638 0.6579
K: 0.4694 0.4622 0.8426
K: 0.9319 0.5362 0.1579
K: 0.4681 0.4638 0.6579
K: 0.9317 0.5378 0.3426
K: 0.4259 0.1482 0.2502
K: 0.5741 0.8518 0.7502
K: 0.7267 0.5466 0.2499
K: 0.2733 0.4534 0.7499
K: 0.3724 0.2553 0.0775
K: 0.6276 0.7447 0.5775
Nb: 0.9032 0.1937 0.2502
Nb: 0.0968 0.8063 0.7502
Nb: 0.6798 0.6404 0.0742
Nb: 0.3229 0.3543 0.9273
Nb: 0.6771 0.6457 0.4273
Nb: 0.3202 0.3596 0.5742
Nb: 0.2053 0.5894 0.2061
Nb: 0.7956 0.4087 0.7930
Nb: 0.2044 0.5913 0.2930
Nb: 0.7947 0.4106 0.7061
Nb: 0.9763 0.0475 0.0466
Nb: 0.0230 0.9540 0.9538
Nb: 0.9770 0.0460 0.4538
Nb: 0.0237 0.9525 0.5466
As: 0.7608 0.0755 0.2499
As: 0.8363 0.9245 0.7499
As: 0.2392 0.9245 0.7499
As: 0.1637 0.0755 0.2499
As: 0.5338 0.5281 0.0650
As: 0.0667 0.4691 0.9350
As: 0.5358 0.5309 0.4350
As: 0.0620 0.4719 0.5650
As: 0.4642 0.4691 0.9350
As: 0.9380 0.5281 0.0650
As: 0.4662 0.4719 0.5650
As: 0.9333 0.5309 0.4350
As: 0.1300 0.7400 0.1607
As: 0.8680 0.2640 0.8406
As: 0.1320 0.7360 0.3406
As: 0.8700 0.2600 0.6607
As: 0.7574 0.0907 0.0823
As: 0.8501 0.9159 0.9172
As: 0.7661 0.0841 0.4172
As: 0.8481 0.9093 0.5823
As: 0.2339 0.9159 0.9172
As: 0.1519 0.0907 0.0823
As: 0.2426 0.9093 0.5823
As: 0.1499 0.0841 0.4172
As: 0.3020 0.3960 0.1800
As: 0.6989 0.6022 0.8164
As: 0.3011 0.3978 0.3164
As: 0.6980 0.6040 0.6800
As: 0.6301 0.7397 0.1359
As: 0.3725 0.2551 0.8656
As: 0.6275 0.7449 0.3656
As: 0.3699 0.2603 0.6359
As: 0.0721 0.8559 0.0164
As: 0.9274 0.1452 0.9848
As: 0.0726 0.8548 0.4848
As: 0.9279 0.1441 0.5164
As: 0.6070 0.7860 0.0264
As: 0.3933 0.2135 0.9780
As: 0.6067 0.7865 0.4780
As: 0.3930 0.2140 0.5264
As: 0.8408 0.3185 0.1950
As: 0.1590 0.6820 0.8055
As: 0.8410 0.3180 0.3055
As: 0.1592 0.6815 0.6950
As: 0.3712 0.6316 0.2495
As: 0.0028 0.3684 0.7495
As: 0.6288 0.3684 0.7495
As: 0.9972 0.6316 0.2495

---

For the records above, the corresponding electronic total energy values read -1.7517; -6.8299; -3.7339 eV/atom.